This record from the Materials Project describes Li2NiP2O7 after structural relaxation. The functional is PBE+U.

a = 7.6977 Å, b = 17.9080 Å, c = 8.1921 Å
α = 90.00°, β = 92.23°, γ = 90.00°
With the nearest neighbours (Å) after each atom.
Space group P2_1 (No. 4)
One atom of each set of equivalent atoms:
Li  0.0810  0.0000  0.2524  2 O 1.98-2.05
Li  0.1557  0.4246  0.4284  2 O 1.93-2.04
Li  0.1835  0.2346  0.6184  3 O 2.01-2.04
Li  0.1954  0.6775  0.5016  1 O 1.92
Li  0.2609  0.3222  0.9959  2 O 2.15-2.29
Li  0.3361  0.9286  0.4844  2 O 1.89-1.90
Li  0.3404  0.1933  0.3313  2 O 1.96-2.10
Li  0.4013  0.5809  0.2255  3 O 2.04-2.14
Ni  0.0871  0.6795  0.0977  6 O 1.95-2.17
Ni  0.0888  0.9262  0.9093  6 O 1.97-2.12
Ni  0.3893  0.6754  0.9103  6 O 1.97-2.15
Ni  0.4048  0.9264  0.0955  6 O 1.95-2.12
P  0.0537  0.0615  0.6350  4 O 1.51-1.64
P  0.0542  0.7688  0.7417  4 O 1.53-1.64
P  0.0926  0.8377  0.2771  4 O 1.51-1.65
P  0.2458  0.5098  0.9363  4 O 1.50-1.63
P  0.2583  0.0909  0.9369  4 O 1.50-1.64
P  0.4100  0.8324  0.7438  4 O 1.50-1.66
P  0.4287  0.5437  0.6335  4 O 1.51-1.63
P  0.4388  0.7670  0.2600  4 O 1.52-1.65
O  0.0016  0.4859  0.2940  1 P 1.54
O  0.0160  0.8850  0.4095  1 P 1.51
O  0.0305  0.2759  0.7905  1 P 1.54
O  0.0459  0.3333  0.1801  1 P 1.54
O  0.0536  0.2313  0.3961  1 P 1.53
O  0.0710  0.6269  0.3266  1 P 1.55
O  0.0800  0.4657  0.9381  1 P 1.50
O  0.1004  0.0576  0.4583  1 P 1.51
O  0.1329  0.1469  0.0045  1 P 1.51
O  0.1374  0.7139  0.8652  1 P 1.53
O  0.1694  0.8852  0.1433  1 P 1.53
O  0.2304  0.7976  0.6554  2 P 1.64-1.66
O  0.2324  0.0844  0.7382  2 P 1.64
O  0.2340  0.5881  0.0108  1 P 1.53
O  0.2359  0.0126  0.0083  1 P 1.53
O  0.2627  0.5185  0.7394  2 P 1.63
O  0.2711  0.7994  0.3583  2 P 1.65
O  0.3307  0.8808  0.8749  1 P 1.53
O  0.3378  0.7156  0.1386  1 P 1.54
O  0.3688  0.5378  0.4559  1 P 1.51
O  0.3961  0.4668  0.0148  1 P 1.51
O  0.4256  0.9882  0.3157  1 P 1.54
O  0.4425  0.1181  0.9523  1 P 1.50
O  0.4455  0.2262  0.6151  1 P 1.52
O  0.4619  0.6255  0.6880  1 P 1.55
O  0.4643  0.3306  0.8236  1 P 1.54
O  0.4766  0.2675  0.1844  1 P 1.55
O  0.4988  0.3751  0.3860  1 P 1.50

The total energy comes out at -6.4038 eV per atom. The value obtained for the energy above the most stable polymorph in this dataset is 0.080 eV/atom.

---

This record from the Materials Project describes LiNiPO4 after structural relaxation. The functional is PBE+U.

a = 5.9477 Å, b = 10.0633 Å, c = 10.0260 Å
α = 90.00°, β = 94.17°, γ = 90.00°
With the nearest neighbours (Å) after each atom.
Space group P2_1/c (No. 14)
One atom of each set of equivalent atoms:
Li  0.1360  0.0657  0.2685  4 O 1.95-2.02
Li  0.3618  0.5944  0.5355  3 O 1.87-1.94
Ni  0.1187  0.7087  0.8688  4 O 1.96-2.05
Ni  0.3829  0.1685  0.6321  5 O 2.07-2.16
P  0.1284  0.1439  0.8958  4 O 1.51-1.59
P  0.3573  0.6086  0.1491  4 O 1.53-1.59
O  0.0951  0.5705  0.6275  1 P 1.52
O  0.1214  0.2437  0.0162  1 P 1.57
O  0.1412  0.5258  0.1380  1 P 1.53
O  0.1516  0.2333  0.7662  1 P 1.59
O  0.3351  0.0578  0.9170  1 P 1.51
O  0.3634  0.7092  0.2705  1 P 1.58
O  0.3754  0.6942  0.0166  1 P 1.59
O  0.4395  0.0128  0.3341  1 P 1.55

The total energy comes out at -6.2117 eV per atom. The value obtained for the energy above the most stable polymorph in this dataset is 0.097 eV/atom.

---

This record from the Materials Project describes LiNiP2O7 after structural relaxation. The functional is PBE+U.

a = 6.3418 Å, b = 6.4155 Å, c = 6.9008 Å
α = 84.72°, β = 67.06°, γ = 81.87°
With the nearest neighbours (Å) after each atom.
Space group P-1 (No. 2)
One atom of each set of equivalent atoms:
Li  0.2121  0.0086  0.3313  4 O 1.98-2.08
Ni  0.4078  0.3554  0.7173  6 O 2.00-2.16
P  0.1543  0.6062  0.1450  4 O 1.52-1.61
P  0.2894  0.8645  0.7343  4 O 1.51-1.61
O  0.0955  0.4045  0.7021  1 P 1.53
O  0.1146  0.9498  0.6390  1 P 1.51
O  0.1417  0.7872  0.9711  2 P 1.61
O  0.2710  0.4011  0.0355  1 P 1.52
O  0.2759  0.6892  0.2707  1 P 1.53
O  0.4368  0.0278  0.7484  1 P 1.53
O  0.4482  0.6684  0.6216  1 P 1.55

The total energy comes out at -6.4620 eV per atom. The value obtained for the energy above the most stable polymorph in this dataset is 0.000 eV/atom.

---

Number 1: formation enthalpy at 0 K -234.3 kJ/mol of atoms. Number 2: formation enthalpy at 0 K -218.8 kJ/mol of atoms. Number 3: formation enthalpy at 0 K -221.7 kJ/mol of atoms.